MnZnFe4O8 | PBE+U | relaxed

Cell and atoms, written as CIF:
```
data_MnZnFe4O8
_chemical_formula_sum 'Mn4 Zn4 Fe16 O32'
_cell_length_a 8.5652
_cell_length_b 8.5652
_cell_length_c 8.5652
_cell_angle_alpha 90.00
_cell_angle_beta 90.00
_cell_angle_gamma 90.00
_space_group_name_H-M_alt 'F -4 3 m'
_space_group_IT_number 216
_space_group_name_Hall 'F -4 2 3'
loop_
_atom_site_label
_atom_site_fract_x
_atom_site_fract_y
_atom_site_fract_z
_atom_site_occupancy
Mn1 0.0000 0.0000 0.0000 1
Zn1 0.2500 0.2500 0.2500 1
Fe1 0.1254 0.1254 0.6254 1
O1 0.1146 0.1146 0.3854 1
O2 0.1372 0.1372 0.8628 1
```

Properties
Crystal system: cubic
Maximum piezoelectric response, C/m²: 0.15
Uncorrected energy, eV/atom: -6.589

=====

Mn3O2F4 | PBE+U | relaxed

Cell and atoms, written as CIF:
```
data_Mn3O2F4
_chemical_formula_sum 'Mn6 O4 F8'
_cell_length_a 4.8054
_cell_length_b 5.7493
_cell_length_c 7.9741
_cell_angle_alpha 87.10
_cell_angle_beta 87.60
_cell_angle_gamma 88.53
_space_group_name_H-M_alt 'P 1'
_space_group_IT_number 1
_space_group_name_Hall 'P 1'
loop_
_atom_site_label
_atom_site_fract_x
_atom_site_fract_y
_atom_site_fract_z
_atom_site_occupancy
Mn1 0.0000 0.0000 0.0000 1
Mn2 0.0071 0.3256 0.6686 1
Mn3 0.0721 0.6614 0.3261 1
Mn4 0.4775 0.1623 0.3407 1
Mn5 0.5027 0.8225 0.6479 1
Mn6 0.5182 0.4979 0.9973 1
O1 0.2045 0.7117 0.0941 1
O2 0.2051 0.3582 0.4458 1
O3 0.3165 0.8744 0.4280 1
O4 0.8196 0.2905 0.8933 1
F1 0.2110 0.0230 0.7678 1
F2 0.3081 0.2054 0.0953 1
F3 0.3096 0.5225 0.7627 1
F4 0.6928 0.4482 0.2415 1
F5 0.7062 0.7914 0.8810 1
F6 0.7169 0.1322 0.5705 1
F7 0.7902 0.9713 0.2319 1
F8 0.8311 0.6344 0.5511 1
```

Properties
Crystal system: triclinic
Uncorrected energy, eV/atom: -6.601
E above lowest polymorph, meV per atom: 30

=====

V12PbO30 | PBE+U | relaxed

Cell and atoms, written as CIF:
```
data_V12PbO30
_chemical_formula_sum 'V12 Pb1 O30'
_cell_length_a 7.3463
_cell_length_b 8.1317
_cell_length_c 10.2958
_cell_angle_alpha 71.32
_cell_angle_beta 89.97
_cell_angle_gamma 76.96
_space_group_name_H-M_alt 'P 1'
_space_group_IT_number 1
_space_group_name_Hall 'P 1'
loop_
_atom_site_label
_atom_site_fract_x
_atom_site_fract_y
_atom_site_fract_z
_atom_site_occupancy
V1 0.0000 0.0000 0.0000 1
V2 0.0254 0.8978 0.6920 1
V3 0.1900 0.2442 0.4907 1
V4 0.2164 0.1367 0.1882 1
V5 0.2991 0.7986 0.4796 1
V6 0.4152 0.3396 0.7068 1
V7 0.4997 0.0008 0.9990 1
V8 0.5250 0.9002 0.6897 1
V9 0.6879 0.2432 0.4906 1
V10 0.7148 0.1371 0.1883 1
V11 0.8023 0.7940 0.4804 1
V12 0.9174 0.3294 0.7120 1
Pb1 0.8616 0.5717 0.9902 1
O1 0.0418 0.8396 0.5169 1
O2 0.0475 0.7830 0.0578 1
O3 0.0614 0.6985 0.8125 1
O4 0.1377 0.4391 0.3763 1
O5 0.1583 0.3545 0.1272 1
O6 0.1807 0.3040 0.6631 1
O7 0.2248 0.0957 0.3732 1
O8 0.2367 0.0571 0.0215 1
O9 0.2715 0.9418 0.6470 1
O10 0.3021 0.7904 0.3239 1
O11 0.3571 0.5715 0.5910 1
O12 0.4113 0.3544 0.8605 1
O13 0.4498 0.1987 0.5359 1
O14 0.4793 0.0814 0.1682 1
O15 0.4884 0.0473 0.8136 1
O16 0.5385 0.8390 0.5177 1
O17 0.5598 0.7843 0.0561 1
O18 0.5846 0.7025 0.8089 1
O19 0.6428 0.4385 0.3766 1
O20 0.6641 0.3545 0.1273 1
O21 0.6670 0.3040 0.6632 1
O22 0.7270 0.0965 0.3727 1
O23 0.7337 0.0604 0.0200 1
O24 0.7559 0.9465 0.6437 1
O25 0.8028 0.7890 0.3232 1
O26 0.8568 0.5723 0.5882 1
O27 0.9115 0.3538 0.8680 1
O28 0.9505 0.1986 0.5435 1
O29 0.9797 0.0814 0.1676 1
O30 0.9875 0.0491 0.8167 1
```

Properties
Crystal system: triclinic
Uncorrected energy, eV/atom: -7.401

=====

NaCaDyFeO6 | PBE+U | relaxed

Cell and atoms, written as CIF:
```
data_NaCaDyFeO6
_chemical_formula_sum 'Na4 Ca4 Dy4 Fe4 O24'
_cell_length_a 8.0617
_cell_length_b 8.0617
_cell_length_c 8.0617
_cell_angle_alpha 90.00
_cell_angle_beta 90.00
_cell_angle_gamma 90.00
_space_group_name_H-M_alt 'F -4 3 m'
_space_group_IT_number 216
_space_group_name_Hall 'F -4 2 3'
loop_
_atom_site_label
_atom_site_fract_x
_atom_site_fract_y
_atom_site_fract_z
_atom_site_occupancy
Na1 0.0000 0.0000 0.0000 1
Ca1 0.0000 0.0000 0.5000 1
Dy1 0.2500 0.2500 0.2500 1
Fe1 0.2500 0.2500 0.7500 1
O1 0.0207 0.2500 0.7500 1
```

Properties
Crystal system: cubic
Uncorrected energy, eV/atom: -6.178

=====

MgTiFeO4 | PBE+U | relaxed

Cell and atoms, written as CIF:
```
data_MgTiFeO4
_chemical_formula_sum 'Mg1 Ti1 Fe1 O4'
_cell_length_a 3.4589
_cell_length_b 5.0894
_cell_length_c 5.6506
_cell_angle_alpha 106.57
_cell_angle_beta 106.21
_cell_angle_gamma 92.46
_space_group_name_H-M_alt 'P 1'
_space_group_IT_number 1
_space_group_name_Hall 'P 1'
loop_
_atom_site_label
_atom_site_fract_x
_atom_site_fract_y
_atom_site_fract_z
_atom_site_occupancy
Mg1 0.0000 0.0000 0.0000 1
Ti1 0.3321 0.4896 0.7080 1
Fe1 0.6323 0.5270 0.2575 1
O1 0.1401 0.3335 0.3272 1
O2 0.3825 0.2137 0.8450 1
O3 0.5079 0.7872 0.0555 1
O4 0.8242 0.6451 0.6722 1
```

Properties
Crystal system: triclinic
Uncorrected energy, eV/atom: -7.438
E above lowest polymorph, meV per atom: 0

=====

Na3Ni2P2C2O14 | PBE+U | relaxed

Cell and atoms, written as CIF:
```
data_Na3Ni2P2C2O14
_chemical_formula_sum 'Na6 Ni4 P4 C4 O28'
_cell_length_a 5.1649
_cell_length_b 8.8482
_cell_length_c 13.0330
_cell_angle_alpha 90.91
_cell_angle_beta 90.08
_cell_angle_gamma 91.58
_space_group_name_H-M_alt 'P -1'
_space_group_IT_number 2
_space_group_name_Hall '-P 1'
loop_
_atom_site_label
_atom_site_fract_x
_atom_site_fract_y
_atom_site_fract_z
_atom_site_occupancy
Na1 0.2436 0.2428 0.4832 1
Na2 0.2452 0.2492 0.9985 1
Na3 0.2466 0.2482 0.7568 1
Ni1 0.2173 0.8424 0.8706 1
Ni2 0.2185 0.8450 0.3750 1
P1 0.2789 0.9264 0.1254 1
P2 0.2828 0.9240 0.6250 1
C1 0.2859 0.5714 0.8750 1
C2 0.2857 0.5719 0.3734 1
O1 0.0575 0.6301 0.3724 1
O2 0.0587 0.6293 0.8747 1
O3 0.1328 0.0753 0.1235 1
O4 0.1386 0.0756 0.6242 1
O5 0.2092 0.8210 0.5313 1
O6 0.2088 0.8262 0.2185 1
O7 0.2133 0.8239 0.7168 1
O8 0.2138 0.8224 0.0311 1
O9 0.3238 0.4316 0.8780 1
O10 0.3241 0.4331 0.3734 1
O11 0.4221 0.0350 0.3792 1
O12 0.4220 0.0362 0.8744 1
O13 0.4723 0.6730 0.8717 1
O14 0.4754 0.6735 0.3749 1
```

Properties
Crystal system: triclinic
Uncorrected energy, eV/atom: -6.308
E above lowest polymorph, meV per atom: 5

=====

Mn6O5F7 | PBE+U | relaxed

Cell and atoms, written as CIF:
```
data_Mn6O5F7
_chemical_formula_sum 'Mn12 O10 F14'
_cell_length_a 5.1268
_cell_length_b 5.7964
_cell_length_c 14.4744
_cell_angle_alpha 86.80
_cell_angle_beta 88.05
_cell_angle_gamma 89.94
_space_group_name_H-M_alt 'P 1'
_space_group_IT_number 1
_space_group_name_Hall 'P 1'
loop_
_atom_site_label
_atom_site_fract_x
_atom_site_fract_y
_atom_site_fract_z
_atom_site_occupancy
Mn1 0.0000 0.0000 0.0000 1
Mn2 0.9997 0.4248 0.1583 1
Mn3 0.0425 0.9519 0.6632 1
Mn4 0.0446 0.4258 0.5012 1
Mn5 0.0561 0.9945 0.3383 1
Mn6 0.4816 0.2922 0.9933 1
Mn7 0.4921 0.7781 0.8317 1
Mn8 0.5080 0.2495 0.6579 1
Mn9 0.5444 0.7134 0.5012 1
Mn10 0.5625 0.9422 0.1642 1
Mn11 0.5879 0.3061 0.3433 1
Mn12 0.9766 0.4510 0.8401 1
O1 0.1519 0.2479 0.9253 1
O2 0.2020 0.2037 0.5893 1
O3 0.3088 0.0449 0.0695 1
O4 0.3434 0.9981 0.7351 1
O5 0.3754 0.4861 0.4314 1
O6 0.6571 0.5031 0.9047 1
O7 0.7105 0.4665 0.5720 1
O8 0.7697 0.0904 0.2620 1
O9 0.7871 0.1991 0.0725 1
O10 0.8892 0.2219 0.4145 1
F1 0.1522 0.7659 0.9151 1
F2 0.1934 0.6891 0.5816 1
F3 0.2542 0.8192 0.2465 1
F4 0.2807 0.2842 0.2628 1
F5 0.3053 0.4952 0.7620 1
F6 0.3352 0.5230 0.0859 1
F7 0.3804 0.9695 0.4189 1
F8 0.6839 0.0024 0.9154 1
F9 0.7153 0.9480 0.5852 1
F10 0.7425 0.5717 0.2506 1
F11 0.8137 0.2274 0.7378 1
F12 0.8504 0.7516 0.0820 1
F13 0.8530 0.7241 0.7533 1
F14 0.8975 0.7120 0.4227 1
```

Properties
Crystal system: triclinic
Uncorrected energy, eV/atom: -6.669
E above lowest polymorph, meV per atom: 18

=====

CaCo2P4O14 | PBE+U | relaxed

Cell and atoms, written as CIF:
```
data_CaCo2P4O14
_chemical_formula_sum 'Ca1 Co2 P4 O14'
_cell_length_a 6.4224
_cell_length_b 6.4894
_cell_length_c 6.7132
_cell_angle_alpha 65.88
_cell_angle_beta 87.19
_cell_angle_gamma 82.90
_space_group_name_H-M_alt 'P 1'
_space_group_IT_number 1
_space_group_name_Hall 'P 1'
loop_
_atom_site_label
_atom_site_fract_x
_atom_site_fract_y
_atom_site_fract_z
_atom_site_occupancy
Ca1 0.0000 0.0000 0.0000 1
Co1 0.2172 0.1855 0.4013 1
Co2 0.5224 0.3799 0.9596 1
P1 0.0038 0.5060 0.9357 1
P2 0.2534 0.6326 0.5199 1
P3 0.4930 0.9211 0.8374 1
P4 0.7366 0.0519 0.4160 1
O1 0.0733 0.6494 0.6901 1
O2 0.1956 0.3247 0.0494 1
O3 0.1957 0.4823 0.4113 1
O4 0.2587 0.8818 0.3577 1
O5 0.2763 0.0372 0.7265 1
O6 0.4539 0.5245 0.6590 1
O7 0.4720 0.6768 0.9964 1
O8 0.5410 0.2225 0.2941 1
O9 0.5865 0.0687 0.9299 1
O10 0.6470 0.8989 0.6503 1
O11 0.8153 0.8942 0.3111 1
O12 0.8316 0.3665 0.9199 1
O13 0.9133 0.1699 0.4584 1
O14 0.9343 0.6658 0.0376 1
```

Properties
Crystal system: triclinic
Uncorrected energy, eV/atom: -6.910